Entry 1:
## Sm2ZnHg (r2SCAN)

Data for a geometry-optimized Sm2ZnHg structure.

Calculated values
The total DFT energy (no corrections) comes out at -478.00 eV/cell. For the total magnetization, the calculation gives 2.56 μB/cell.

a b c (Å): 7.4164 7.4164 7.4164
angles (deg): 90.00 90.00 90.00
With the nearest neighbours (Å) after each atom.
Space group Fm-3m (No. 225)
Unique sites:
Sm: 0.2500 0.2500 0.2500 x8  4 Hg 3.21, 4 Zn 3.21
Zn: 0.0000 0.0000 0.0000 x4  8 Sm 3.21
Hg: 0.0000 0.0000 0.5000 x4  8 Sm 3.21

---

Entry 2:
## Sn3Hg (r2SCAN)

Data for a geometry-optimized Sn3Hg structure.

Calculated values
The total DFT energy (no corrections) comes out at -245.46 eV/cell. For the total magnetization, the calculation gives 0.00 μB/cell.

a b c (Å): 6.5662 6.5662 5.7074
angles (deg): 90.00 90.00 120.00
With the nearest neighbours (Å) after each atom.
Space group P6_3/mmc (No. 194)
Unique sites:
Sn: 0.1630 0.3260 0.2500 x6  8 Sn 3.21-3.40, 4 Hg 3.28-3.45
Hg: 0.3333 0.6667 0.7500 x2  12 Sn 3.28-3.45

---

Entry 3:
## Sr2SnHg (r2SCAN)

Data for a geometry-optimized Sr2SnHg structure.

Calculated values
The total DFT energy (no corrections) comes out at -429.17 eV/cell. For the total magnetization, the calculation gives 0.00 μB/cell.

a b c (Å): 8.0622 8.0622 8.0622
angles (deg): 90.00 90.00 90.00
With the nearest neighbours (Å) after each atom.
Space group Fm-3m (No. 225)
Unique sites:
Sr: 0.2500 0.2500 0.2500 x8  4 Hg 3.49, 4 Sn 3.49
Sn: 0.0000 0.0000 0.0000 x4  8 Sr 3.49
Hg: 0.0000 0.0000 0.5000 x4  8 Sr 3.49

---

Entry 4:
## YbSnHg (r2SCAN)

Data for a geometry-optimized YbSnHg structure.

Calculated values
The total DFT energy (no corrections) comes out at -223.67 eV/cell. For the total magnetization, the calculation gives 0.00 μB/cell.

a b c (Å): 4.9452 4.9452 6.8398
angles (deg): 90.00 90.00 120.00
With the nearest neighbours (Å) after each atom.
Space group P6_3mc (No. 186)
Unique sites:
Yb: 0.0000 0.0000 0.0000 x2  6 Hg 3.18-3.50, 6 Sn 3.30-3.35, 2 Yb 3.42
Sn: 0.3333 0.6667 0.2569 x2  4 Hg 2.88-3.06
Hg: 0.3333 0.6667 0.7042 x2  4 Sn 2.88-3.06, 3 Yb 3.18

---

Entry 5:
## Yb2SnHg (r2SCAN)

Data for a geometry-optimized Yb2SnHg structure.

Calculated values
The total DFT energy (no corrections) comes out at -597.65 eV/cell. For the total magnetization, the calculation gives 0.00 μB/cell.

a b c (Å): 7.3151 7.3151 7.3151
angles (deg): 90.00 90.00 90.00
With the nearest neighbours (Å) after each atom.
Space group Fm-3m (No. 225)
Unique sites:
Yb: 0.2500 0.2500 0.2500 x8  4 Hg 3.17, 4 Sn 3.17
Sn: 0.0000 0.0000 0.0000 x4  8 Yb 3.17
Hg: 0.0000 0.0000 0.5000 x4  8 Yb 3.17

---

Entry 6:
## SrHg3 (r2SCAN)

Data for a geometry-optimized SrHg3 structure.

Calculated values
The total DFT energy (no corrections) comes out at -330.15 eV/cell. For the total magnetization, the calculation gives 0.00 μB/cell.

a b c (Å): 6.9537 6.9537 5.2232
angles (deg): 90.00 90.00 120.00
With the nearest neighbours (Å) after each atom.
Space group P6_3/mmc (No. 194)
Unique sites:
Sr: 0.3333 0.6667 0.2500 x2  12 Hg 3.37-3.48
Hg: 0.1561 0.3123 0.7500 x6  6 Hg 3.22-3.26, 4 Sr 3.37-3.48

---

Entry 7:
## SrHg2 (r2SCAN)

Data for a geometry-optimized SrHg2 structure.

Calculated values
The total DFT energy (no corrections) comes out at -115.49 eV/cell. For the total magnetization, the calculation gives 0.00 μB/cell.

a b c (Å): 5.0153 5.0153 4.0164
angles (deg): 90.00 90.00 120.00
With the nearest neighbours (Å) after each atom.
Space group P6/mmm (No. 191)
Unique sites:
Sr: 0.0000 0.0000 0.0000 x1  12 Hg 3.52
Hg: 0.3333 0.6667 0.5000 x2  3 Hg 2.90

---

Entry 8:
## Sr3Hg2 (r2SCAN)

Data for a geometry-optimized Sr3Hg2 structure.

Calculated values
The total DFT energy (no corrections) comes out at -292.85 eV/cell. For the total magnetization, the calculation gives 0.88 μB/cell.

a b c (Å): 9.0121 9.0121 4.4942
angles (deg): 90.00 90.00 90.00
With the nearest neighbours (Å) after each atom.
Space group P4/mbm (No. 127)
Unique sites:
Sr: 0.0000 0.0000 0.0000 x2  4 Hg 3.46
Sr: 0.1527 0.3473 0.5000 x4  6 Hg 3.44-3.49
Hg: 0.1432 0.6432 0.0000 x4  8 Sr 3.44-3.49, 1 Hg 3.65

---

So what do the calculations give for mass density? Going down the list: 9.23; 8.68; 6.27; 11.29; 11.29; 10.47; 9.28; 6.04 g cm⁻³.